Record 1
The following is a DFT calculation (PBE+U) of a relaxed structure of Li2Mn3B3O9.

Summary:
Its corrected total energy (MP2020 scheme) is -1096.67 eV/cell. The size of the total moment comes out at 0.824 μB/atom. The total DFT energy (no corrections) comes out at -7.4057 eV per atom. The density is 3.1 Mg/m³.

Cell lengths 16.4711, 6.3388, 14.4046 Å; angles 90.00, 90.05, 90.00 degrees
Closest atoms and distances in Å follow each position.
Space group Cm (No. 8)
Unique sites:
Li: 0.0000 0.0000 0.0000  4 O 1.98-2.03
Li: 0.0021 0.5000 0.0010  4 O 1.99-2.08
Li: 0.2114 0.5000 0.1594  4 O 1.96-2.04
Li: 0.2260 0.0000 0.8720  4 O 1.96-2.07
Li: 0.2507 0.0000 0.4964  4 O 1.99-2.11
Li: 0.2532 0.5000 0.5028  4 O 1.99-2.01
Li: 0.4612 0.5000 0.6620  4 O 1.97-2.10
Li: 0.4759 0.0000 0.3715  4 O 1.95-2.02
Mn: 0.0537 0.2466 0.1947  5 O 2.01-2.21
Mn: 0.0624 0.2550 0.8215  5 O 2.09-2.18
Mn: 0.0757 0.2514 0.5161  5 O 2.01-2.21
Mn: 0.3032 0.2501 0.6944  5 O 2.02-2.19
Mn: 0.3123 0.2515 0.3216  5 O 2.09-2.18
Mn: 0.3253 0.2487 0.0163  5 O 2.02-2.21
B: 0.1433 0.2498 0.0108  3 O 1.37-1.40
B: 0.1469 0.5000 0.6724  3 O 1.38-1.39
B: 0.1481 0.5000 0.3454  3 O 1.38-1.39
B: 0.1489 0.0000 0.6768  3 O 1.39-1.40
B: 0.1495 0.0000 0.3466  3 O 1.38-1.39
B: 0.3942 0.2505 0.5109  3 O 1.37-1.40
B: 0.3949 0.5000 0.1743  3 O 1.38-1.40
B: 0.3974 0.0000 0.8477  3 O 1.37-1.39
B: 0.4005 0.5000 0.8436  3 O 1.38-1.40
B: 0.4019 0.0000 0.1765  3 O 1.36-1.40
O: 0.0677 0.2474 0.9666  1 B 1.40
O: 0.0775 0.5000 0.2928  1 B 1.39
O: 0.0798 0.0000 0.6217  1 B 1.39
O: 0.0807 0.5000 0.6131  1 B 1.38
O: 0.0888 0.0000 0.2808  1 B 1.38
O: 0.1321 0.0000 0.4413  1 B 1.39
O: 0.1347 0.5000 0.7675  1 B 1.38
O: 0.1410 0.0000 0.7733  1 B 1.40
O: 0.1435 0.5000 0.4410  1 B 1.38
O: 0.1474 0.2691 0.1061  1 B 1.38
O: 0.2131 0.2335 0.9595  1 B 1.37
O: 0.2230 0.5000 0.3008  1 B 1.39
O: 0.2260 0.0000 0.6371  1 B 1.39
O: 0.2257 0.5000 0.6375  1 B 1.39
O: 0.2306 0.0000 0.3213  1 B 1.38
O: 0.3188 0.2508 0.4663  1 B 1.40
O: 0.3267 0.5000 0.1164  1 B 1.40
O: 0.3293 0.0000 0.7906  1 B 1.39
O: 0.3362 0.0000 0.1189  1 B 1.36
O: 0.3369 0.5000 0.7816  1 B 1.38
O: 0.3842 0.5000 0.2696  1 B 1.38
O: 0.3862 0.0000 0.9433  1 B 1.39
O: 0.3894 0.5000 0.9386  1 B 1.38
O: 0.3918 0.0000 0.2731  1 B 1.40
O: 0.3980 0.2685 0.6060  1 B 1.38
O: 0.4641 0.2326 0.4594  1 B 1.37
O: 0.4727 0.5000 0.1372  1 B 1.39
O: 0.4753 0.0000 0.8140  1 B 1.37
O: 0.4789 0.5000 0.8061  1 B 1.40
O: 0.4809 0.0000 0.1400  1 B 1.40

***

Record 2
The following is a DFT calculation (PBE+U) of a relaxed structure of Li5Mn6B6O18.

Summary:
Its corrected total energy (MP2020 scheme) is -1120.33 eV/cell. The size of the total moment comes out at 0.829 μB/atom. The total DFT energy (no corrections) comes out at -7.3631 eV per atom. The density is 3.2 Mg/m³.

Cell lengths 16.4675, 6.3657, 14.3845 Å; angles 90.00, 90.60, 90.00 degrees
Closest atoms and distances in Å follow each position.
Space group Cm (No. 8)
Unique sites:
Li: 0.0000 0.0000 0.0000  4 O 1.98-2.05
Li: 0.0001 0.5000 0.0009  4 O 1.98-1.99
Li: 0.0235 0.0000 0.3706  4 O 2.01-2.08
Li: 0.0257 0.5000 0.3673  4 O 2.00-2.04
Li: 0.2352 0.5000 0.2096  4 O 1.96-2.07
Li: 0.2493 0.0000 0.5006  4 O 1.98-2.01
Li: 0.2508 0.5000 0.5001  4 O 1.99-2.03
Li: 0.2745 0.5000 0.8683  4 O 2.00-2.03
Li: 0.2750 0.0000 0.8689  4 O 2.01-2.09
Li: 0.4855 0.0000 0.7104  4 O 1.96-2.06
Mn: 0.0796 0.2475 0.1785  5 O 2.04-2.21
Mn: 0.0816 0.2479 0.5493  5 O 2.09-2.18
Mn: 0.0988 0.2471 0.8483  5 O 2.09-2.22
Mn: 0.3298 0.2523 0.6783  5 O 2.04-2.21
Mn: 0.3318 0.2484 0.0495  5 O 2.09-2.18
Mn: 0.3486 0.2458 0.3482  5 O 2.09-2.22
B: 0.1688 0.2548 0.3626  3 O 1.37-1.40
B: 0.1703 0.0000 0.0217  3 O 1.38-1.39
B: 0.1697 0.5000 0.0227  3 O 1.39-1.40
B: 0.1715 0.5000 0.6915  3 O 1.39-1.40
B: 0.1744 0.0000 0.6927  3 O 1.37-1.40
B: 0.4188 0.2455 0.8627  3 O 1.37-1.40
B: 0.4194 0.5000 0.5195  3 O 1.38-1.39
B: 0.4203 0.0000 0.5240  3 O 1.38-1.40
B: 0.4212 0.5000 0.1913  3 O 1.39-1.40
B: 0.4246 0.0000 0.1928  3 O 1.38-1.40
O: 0.0027 0.5000 0.2308  1 B 1.39
O: 0.0924 0.2498 0.4039  1 B 1.40
O: 0.1013 0.5000 0.0780  1 B 1.39
O: 0.1024 0.5000 0.7465  1 B 1.39
O: 0.1035 0.0000 0.0798  1 B 1.39
O: 0.1072 0.0000 0.7484  1 B 1.37
O: 0.1588 0.0000 0.9260  1 B 1.39
O: 0.1621 0.5000 0.5948  1 B 1.40
O: 0.1628 0.5000 0.9266  1 B 1.39
O: 0.1637 0.0000 0.5959  1 B 1.40
O: 0.1760 0.2686 0.2679  1 B 1.37
O: 0.2384 0.2494 0.4190  1 B 1.40
O: 0.2458 0.5000 0.0662  1 B 1.40
O: 0.2488 0.0000 0.0559  1 B 1.38
O: 0.2486 0.5000 0.7312  1 B 1.39
O: 0.2524 0.0000 0.7311  1 B 1.39
O: 0.3424 0.2527 0.9041  1 B 1.40
O: 0.3513 0.0000 0.5783  1 B 1.39
O: 0.3516 0.5000 0.2453  1 B 1.39
O: 0.3536 0.5000 0.5789  1 B 1.39
O: 0.3577 0.0000 0.2492  1 B 1.38
O: 0.4067 0.5000 0.4238  1 B 1.39
O: 0.4123 0.5000 0.0945  1 B 1.40
O: 0.4137 0.0000 0.0961  1 B 1.40
O: 0.4144 0.0000 0.4281  1 B 1.38
O: 0.4261 0.2314 0.7681  1 B 1.37
O: 0.4886 0.2490 0.9192  1 B 1.40
O: 0.4961 0.0000 0.5682  1 B 1.40
O: 0.4981 0.5000 0.2317  1 B 1.39
O: 0.4984 0.5000 0.5525  1 B 1.38

***

Record 3
The following is a DFT calculation (PBE+U) of a relaxed structure of Li2Mn3B3O9.

Summary:
Its corrected total energy (MP2020 scheme) is -1096.66 eV/cell. The size of the total moment comes out at 0.824 μB/atom. The total DFT energy (no corrections) comes out at -7.4056 eV per atom. The density is 3.1 Mg/m³.

Cell lengths 28.6088, 6.3439, 8.2954 Å; angles 90.00, 90.38, 90.00 degrees
Closest atoms and distances in Å follow each position.
Space group Cm (No. 8)
Unique sites:
Li: 0.0000 0.0000 0.0000  4 O 2.01-2.09
Li: 0.0004 0.5000 0.0090  4 O 2.00-2.02
Li: 0.0661 0.5000 0.4532  4 O 1.97-2.05
Li: 0.1455 0.0000 0.0359  4 O 1.96-2.07
Li: 0.2501 0.5000 0.5057  4 O 2.00-2.09
Li: 0.2511 0.0000 0.5038  4 O 1.97-2.04
Li: 0.3158 0.5000 0.9556  4 O 1.98-2.10
Li: 0.3948 0.0000 0.5341  4 O 1.97-2.02
Mn: 0.0755 0.2499 0.7984  5 O 2.07-2.20
Mn: 0.1580 0.2479 0.3511  5 O 2.02-2.21
Mn: 0.2278 0.2499 0.8481  5 O 2.01-2.23
Mn: 0.3256 0.2495 0.2998  5 O 2.08-2.16
Mn: 0.4085 0.2487 0.8518  5 O 2.02-2.20
Mn: 0.4786 0.2524 0.3483  5 O 2.00-2.21
B: 0.0696 0.2504 0.1617  3 O 1.34-1.40
B: 0.1535 0.5000 0.6597  3 O 1.38-1.40
B: 0.1572 0.0000 0.6693  3 O 1.36-1.41
B: 0.2375 0.0000 0.1738  3 O 1.38-1.39
B: 0.2383 0.5000 0.1663  3 O 1.37-1.39
B: 0.3188 0.2496 0.6626  3 O 1.37-1.40
B: 0.4034 0.5000 0.1623  3 O 1.38-1.39
B: 0.4065 0.0000 0.1661  3 O 1.36-1.40
B: 0.4871 0.0000 0.6680  3 O 1.38-1.39
B: 0.4885 0.5000 0.6721  3 O 1.38
O: 0.0355 0.0000 0.7127  1 B 1.38
O: 0.0356 0.5000 0.6767  1 B 1.39
O: 0.0428 0.2502 0.0200  1 B 1.40
O: 0.0474 0.2691 0.3083  1 B 1.38
O: 0.1161 0.2313 0.1545  1 B 1.34
O: 0.1239 0.5000 0.7909  1 B 1.38
O: 0.1281 0.0000 0.8039  1 B 1.40
O: 0.1342 0.5000 0.5041  1 B 1.40
O: 0.1390 0.0000 0.5175  1 B 1.36
O: 0.2015 0.5000 0.6818  1 B 1.39
O: 0.2061 0.0000 0.6936  1 B 1.41
O: 0.2081 0.0000 0.3060  1 B 1.39
O: 0.2090 0.5000 0.2971  1 B 1.37
O: 0.2177 0.0000 0.0207  1 B 1.39
O: 0.2220 0.5000 0.0086  1 B 1.39
O: 0.2851 0.0000 0.2005  1 B 1.38
O: 0.2866 0.5000 0.1877  1 B 1.39
O: 0.2920 0.2484 0.5213  1 B 1.40
O: 0.2969 0.2673 0.8097  1 B 1.38
O: 0.3665 0.2334 0.6551  1 B 1.37
O: 0.3741 0.5000 0.2941  1 B 1.38
O: 0.3768 0.0000 0.3004  1 B 1.40
O: 0.3841 0.5000 0.0077  1 B 1.39
O: 0.3885 0.0000 0.0137  1 B 1.36
O: 0.4517 0.5000 0.1844  1 B 1.39
O: 0.4549 0.0000 0.1931  1 B 1.40
O: 0.4564 0.5000 0.7963  1 B 1.38
O: 0.4606 0.0000 0.8063  1 B 1.38
O: 0.4652 0.0000 0.5184  1 B 1.39
O: 0.4744 0.5000 0.5126  1 B 1.38

***

Record 4
The following is a DFT calculation (PBE+U) of a relaxed structure of Li2Mn3B3O9.

Summary:
Its corrected total energy (MP2020 scheme) is -411.67 eV/cell. The size of the total moment comes out at 0.824 μB/atom. The total DFT energy (no corrections) comes out at -7.4139 eV per atom. The density is 3.2 Mg/m³.

Cell lengths 8.2515, 8.2515, 9.4672 Å; angles 90.00, 90.00, 120.00 degrees
Closest atoms and distances in Å follow each position.
Space group P3_2 (No. 145)
Unique sites:
Li: 0.0457 0.6765 0.0000  4 O 1.90-2.08
Li: 0.0654 0.6926 0.3320  4 O 1.93-2.05
Mn: 0.3369 0.0129 0.8361  4 O 2.01-2.25
Mn: 0.3390 0.0375 0.5015  4 O 2.03-2.21
Mn: 0.3494 0.0628 0.1677  5 O 1.96-2.06
B: 0.9997 0.9944 0.3316  3 O 1.38-1.40
B: 0.3157 0.6432 0.8268  3 O 1.37-1.41
B: 0.6548 0.3305 0.0038  3 O 1.38-1.40
O: 0.1862 0.0789 0.6684  1 B 1.38
O: 0.1924 0.0684 0.3201  1 B 1.39
O: 0.1999 0.0893 0.0087  1 B 1.40
O: 0.2154 0.7331 0.8470  1 B 1.37
O: 0.2215 0.7752 0.1615  1 B 1.41
O: 0.2364 0.4938 0.1400  1 B 1.37
O: 0.5379 0.1386 0.0183  1 B 1.39
O: 0.5492 0.1328 0.6726  1 B 1.38
O: 0.5530 0.1528 0.3211  1 B 1.40

***

Record 5
The following is a DFT calculation (PBE+U) of a relaxed structure of Li2Mn3B3O9.

Summary:
Its corrected total energy (MP2020 scheme) is -1097.15 eV/cell. The size of the total moment comes out at 0.824 μB/atom. The total DFT energy (no corrections) comes out at -7.4092 eV per atom. The density is 3.1 Mg/m³.

Cell lengths 16.5477, 12.6776, 8.2865 Å; angles 90.00, 120.01, 90.00 degrees
Closest atoms and distances in Å follow each position.
Space group Cm (No. 8)
Unique sites:
Li: 0.0000 0.0000 0.0000  4 O 1.94-2.05
Li: 0.0015 0.5000 0.0115  4 O 1.96-2.11
Li: 0.1596 0.0000 0.7365  4 O 1.97-2.07
Li: 0.1629 0.2520 0.7546  4 O 1.94-2.10
Li: 0.2901 0.5000 0.3251  4 O 1.97-2.04
Li: 0.2917 0.2532 0.3248  4 O 1.92-2.05
Mn: 0.1429 0.3780 0.4052  5 O 1.96-2.08
Mn: 0.1443 0.1260 0.3670  3 O 2.02-2.22
Mn: 0.3373 0.1258 0.0422  5 O 2.08-2.21
Mn: 0.3373 0.3749 0.0330  5 O 2.02-2.22
Mn: 0.4709 0.3733 0.6561  5 O 2.01-2.23
Mn: 0.4737 0.1225 0.6702  5 O 2.02-2.23
B: 0.1504 0.1259 0.0162  3 O 1.38-1.40
B: 0.1530 0.3731 0.0435  3 O 1.37-1.40
B: 0.3139 0.2538 0.6895  3 O 1.37-1.42
B: 0.3178 0.0000 0.6941  3 O 1.38-1.39
B: 0.3187 0.5000 0.6860  3 O 1.37-1.41
B: 0.4827 0.5000 0.3520  3 O 1.38-1.40
B: 0.4860 0.0000 0.3648  3 O 1.35-1.47
B: 0.4866 0.2424 0.3732  3 O 1.38-1.40
O: 0.0224 0.5000 0.5520  1 B 1.35
O: 0.0228 0.0000 0.5437  1 B 1.38
O: 0.0256 0.2546 0.5660  1 B 1.39
O: 0.0386 0.0000 0.2695  1 B 1.40
O: 0.0447 0.2705 0.2969  1 B 1.40
O: 0.0510 0.5000 0.2927  1 B 1.47
O: 0.0548 0.1151 0.9339  1 B 1.38
O: 0.0575 0.3825 0.9491  1 B 1.37
O: 0.1923 0.1222 0.9056  1 B 1.40
O: 0.2001 0.3584 0.9472  1 B 1.38
O: 0.2037 0.1404 0.2060  1 B 1.38
O: 0.2042 0.3789 0.2390  1 B 1.40
O: 0.2156 0.2605 0.5714  1 B 1.42
O: 0.2212 0.5000 0.5675  1 B 1.41
O: 0.2218 0.0000 0.5737  1 B 1.39
O: 0.3453 0.2500 0.8767  1 B 1.37
O: 0.3550 0.0000 0.8860  1 B 1.39
O: 0.3572 0.5000 0.8763  1 B 1.37
O: 0.3697 0.2499 0.6105  1 B 1.37
O: 0.3737 0.5000 0.6046  1 B 1.38
O: 0.3806 0.0000 0.6306  1 B 1.38
O: 0.3853 0.5000 0.2376  1 B 1.40
O: 0.3916 0.2527 0.2544  1 B 1.38
O: 0.3937 0.0000 0.2357  1 B 1.36

***

Record 6
The following is a DFT calculation (PBE+U) of a relaxed structure of LiMn2B2O6.

Summary:
Its corrected total energy (MP2020 scheme) is -359.63 eV/cell. The size of the total moment comes out at 0.818 μB/atom. The total DFT energy (no corrections) comes out at -7.4955 eV per atom. The density is 3.1 Mg/m³.

Cell lengths 5.3023, 5.8177, 16.4433 Å; angles 99.66, 90.25, 90.72 degrees
Closest atoms and distances in Å follow each position.
Space group P-1 (No. 2)
Unique sites:
Li: 0.1624 0.0601 0.1150  4 O 1.92-2.06
Li: 0.3294 0.1924 0.6347  4 O 1.92-2.13
Mn: 0.1922 0.4552 0.7924  5 O 2.05-2.23
Mn: 0.1930 0.9643 0.2870  5 O 1.97-2.12
Mn: 0.3005 0.2997 0.4583  5 O 2.03-2.14
Mn: 0.3155 0.7826 0.9648  5 O 1.99-2.15
B: 0.1747 0.2867 0.9581  3 O 1.36-1.41
B: 0.1767 0.7939 0.4503  3 O 1.36-1.43
B: 0.3229 0.4698 0.2962  3 O 1.34-1.41
B: 0.3254 0.9530 0.7954  3 O 1.37-1.41
O: 0.0777 0.7464 0.0552  1 B 1.36
O: 0.0787 0.2180 0.5521  1 B 1.36
O: 0.1690 0.6184 0.2591  1 B 1.41
O: 0.1844 0.8254 0.8455  1 B 1.41
O: 0.1963 0.0737 0.7421  1 B 1.39
O: 0.1956 0.2988 0.3331  1 B 1.41
O: 0.3054 0.1528 0.0084  1 B 1.41
O: 0.3065 0.4408 0.9169  1 B 1.39
O: 0.3141 0.9454 0.4063  1 B 1.43
O: 0.3266 0.6526 0.4904  1 B 1.39
O: 0.4170 0.0326 0.1962  1 B 1.37
O: 0.4258 0.4986 0.6971  1 B 1.34

***

Record 7
The following is a DFT calculation (PBE+U) of a relaxed structure of LiMn2B2O6.

Summary:
Its corrected total energy (MP2020 scheme) is -359.64 eV/cell. The size of the total moment comes out at 0.818 μB/atom. The total DFT energy (no corrections) comes out at -7.4957 eV per atom. The density is 3.1 Mg/m³.

Cell lengths 5.3089, 6.1371, 15.5362 Å; angles 80.94, 87.42, 86.99 degrees
Closest atoms and distances in Å follow each position.
Space group P1 (No. 1)
Unique sites:
Li: 0.0000 0.0000 0.0000  4 O 1.91-2.08
Li: 0.0028 0.9967 0.5006  4 O 1.92-2.08
Li: 0.1904 0.7256 0.2991  3 O 1.89-2.06
Li: 0.5043 0.5004 0.7501  4 O 1.92-2.07
Mn: 0.0017 0.2945 0.3083  5 O 2.02-2.17
Mn: 0.0046 0.2947 0.8104  5 O 1.94-2.14
Mn: 0.1823 0.4296 0.4907  5 O 2.05-2.23
Mn: 0.1873 0.4306 0.9912  5 O 2.07-2.24
Mn: 0.5037 0.7913 0.5609  5 O 1.96-2.14
Mn: 0.5043 0.7917 0.0599  5 O 1.94-2.08
Mn: 0.6793 0.9310 0.2373  5 O 2.05-2.13
Mn: 0.6853 0.9337 0.7411  5 O 2.06-2.27
B: 0.0174 0.6149 0.6491  3 O 1.37-1.41
B: 0.0201 0.6339 0.1473  3 O 1.36-1.42
B: 0.1669 0.0864 0.1526  3 O 1.34-1.42
B: 0.1715 0.0932 0.6540  3 O 1.35-1.41
B: 0.5155 0.1066 0.3990  3 O 1.39-1.40
B: 0.5174 0.1169 0.8989  3 O 1.37-1.42
B: 0.6705 0.6121 0.4026  3 O 1.36-1.42
B: 0.6740 0.5937 0.9039  3 O 1.35-1.42
O: 0.0345 0.1955 0.0864  1 B 1.34
O: 0.0388 0.1924 0.5853  1 B 1.35
O: 0.0576 0.0297 0.2379  1 B 1.42
O: 0.0613 0.0616 0.7393  1 B 1.41
O: 0.1369 0.6997 0.5684  1 B 1.41
O: 0.1404 0.7028 0.0651  1 B 1.42
O: 0.1520 0.5239 0.2151  1 B 1.36
O: 0.1623 0.5027 0.7144  1 B 1.37
O: 0.2586 0.1601 0.4105  1 B 1.40
O: 0.2591 0.1602 0.9102  1 B 1.39
O: 0.4161 0.0046 0.1410  1 B 1.40
O: 0.4160 0.9983 0.6438  1 B 1.41
O: 0.5248 0.7150 0.3373  1 B 1.36
O: 0.5410 0.6936 0.8356  1 B 1.35
O: 0.5601 0.5589 0.4875  1 B 1.42
O: 0.5661 0.5579 0.9896  1 B 1.42
O: 0.6364 0.2050 0.8185  1 B 1.42
O: 0.6421 0.1679 0.3184  1 B 1.40
O: 0.6583 0.0026 0.4674  1 B 1.39
O: 0.6614 0.0019 0.9634  1 B 1.37
O: 0.7597 0.6582 0.6600  1 B 1.39
O: 0.7681 0.7030 0.1559  1 B 1.39
O: 0.9196 0.5011 0.8932  1 B 1.41
O: 0.9255 0.5461 0.3878  1 B 1.41